1.
DFT (PBE with a Hubbard U) results for an optimized crystal structure of CrReO4.

a b c (Å): 2.9097 6.5517 6.8470
angles (deg): 90.00 90.00 90.00
Closest atoms and distances in Å follow each position.
Atoms (fractional coordinates):
O (0.5000, 0.0000, 0.2052)  1 Cr 2.02, 2 Re 2.02
O (0.5000, 0.0000, 0.7948)  1 Cr 2.02, 2 Re 2.02
O (0.5000, 0.5000, 0.2948)  1 Cr 2.02, 2 Re 2.02
O (0.0000, 0.2921, 0.0000)  1 Re 1.91, 2 Cr 1.99
O (0.0000, 0.2079, 0.5000)  1 Re 1.91, 2 Cr 1.99
O (0.0000, 0.7079, 0.0000)  1 Re 1.91, 2 Cr 1.99
O (0.0000, 0.7921, 0.5000)  1 Re 1.91, 2 Cr 1.99
O (0.5000, 0.5000, 0.7052)  1 Cr 2.02, 2 Re 2.02
Cr (0.5000, 0.5000, 0.0000)  6 O 1.99-2.02
Cr (0.5000, 0.0000, 0.5000)  6 O 1.99-2.02
Re (0.0000, 0.5000, 0.5000)  6 O 1.91-2.02
Re (0.0000, 0.0000, 0.0000)  6 O 1.91-2.02

Computed properties:
Magnetization = 0.0000 μB per atom
Energy of formation = -2.094 eV/atom

---

2.
DFT (PBE with a Hubbard U) results for an optimized crystal structure of LiCrP3O9.

a b c (Å): 8.3802 8.8702 8.9534
angles (deg): 90.00 90.00 90.00
Closest atoms and distances in Å follow each position.
Atoms (fractional coordinates):
Li (0.1230, 0.0819, 0.1079)  6 O 2.11-2.26
Li (0.3770, 0.9181, 0.6079)  6 O 2.11-2.26
Li (0.6230, 0.4181, 0.8921)  6 O 2.11-2.26
Li (0.8770, 0.5819, 0.3921)  6 O 2.11-2.26
Cr (0.0958, 0.8584, 0.3817)  4 O 2.04-2.07
Cr (0.4042, 0.1416, 0.8817)  4 O 2.04-2.07
Cr (0.5958, 0.6416, 0.6183)  4 O 2.04-2.07
Cr (0.9042, 0.3584, 0.1183)  4 O 2.04-2.07
P (0.0482, 0.6818, 0.0496)  4 O 1.49-1.63
P (0.0651, 0.0595, 0.7329)  4 O 1.50-1.62
P (0.2203, 0.5716, 0.5653)  4 O 1.51-1.60
P (0.2797, 0.4284, 0.0653)  4 O 1.51-1.60
P (0.4349, 0.9405, 0.2329)  4 O 1.50-1.62
P (0.4518, 0.3182, 0.5496)  4 O 1.49-1.63
P (0.5482, 0.8182, 0.9504)  4 O 1.49-1.63
P (0.5651, 0.4405, 0.2671)  4 O 1.50-1.62
P (0.7203, 0.9284, 0.4347)  4 O 1.51-1.60
P (0.7797, 0.0716, 0.9347)  4 O 1.51-1.60
P (0.9349, 0.5595, 0.7671)  4 O 1.50-1.62
P (0.9518, 0.1818, 0.4504)  4 O 1.49-1.63
O (0.0248, 0.1951, 0.6171)  2 P 1.62
O (0.0570, 0.0845, 0.3512)  1 P 1.52
O (0.0878, 0.8367, 0.1023)  1 P 1.49
O (0.1110, 0.5216, 0.7038)  2 P 1.60-1.62
O (0.1169, 0.6336, 0.4412)  1 P 1.51
O (0.1283, 0.9275, 0.6475)  1 P 1.50
O (0.1450, 0.3287, 0.1178)  1 P 1.51
O (0.1623, 0.1220, 0.8610)  1 P 1.51
O (0.2124, 0.5891, 0.0145)  2 P 1.60-1.63
O (0.2876, 0.4109, 0.5145)  2 P 1.60-1.63
O (0.3377, 0.8780, 0.3610)  1 P 1.51
O (0.3550, 0.6713, 0.6178)  1 P 1.51
O (0.3717, 0.0725, 0.1475)  1 P 1.50
O (0.3831, 0.3664, 0.9412)  1 P 1.51
O (0.3890, 0.4784, 0.2038)  2 P 1.60-1.62
O (0.4122, 0.1633, 0.6023)  1 P 1.49
O (0.4430, 0.9155, 0.8512)  1 P 1.52
O (0.4752, 0.8049, 0.1171)  2 P 1.62
O (0.5248, 0.3049, 0.3829)  2 P 1.62
O (0.5570, 0.4155, 0.6488)  1 P 1.52
O (0.5878, 0.6633, 0.8977)  1 P 1.49
O (0.6110, 0.9784, 0.2962)  2 P 1.60-1.62
O (0.6169, 0.8664, 0.5588)  1 P 1.51
O (0.6283, 0.5725, 0.3525)  1 P 1.50
O (0.6450, 0.1713, 0.8822)  1 P 1.51
O (0.6623, 0.3780, 0.1390)  1 P 1.51
O (0.7124, 0.9109, 0.9855)  2 P 1.60-1.63
O (0.7876, 0.0891, 0.4855)  2 P 1.60-1.63
O (0.8377, 0.6220, 0.6390)  1 P 1.51
O (0.8550, 0.8287, 0.3822)  1 P 1.51
O (0.8717, 0.4275, 0.8525)  1 P 1.50
O (0.8831, 0.1336, 0.0588)  1 P 1.51
O (0.8890, 0.0216, 0.7962)  2 P 1.60-1.62
O (0.9122, 0.3367, 0.3977)  1 P 1.49
O (0.9430, 0.5845, 0.1488)  1 P 1.52
O (0.9752, 0.6951, 0.8829)  2 P 1.62

Computed properties:
Magnetization = 0.2857 μB per atom
Crystal system = orthorhombic
Energy of formation = -2.597 eV/atom

---

3.
DFT (PBE with a Hubbard U) results for an optimized crystal structure of Li2VC2O6.

a b c (Å): 4.8995 9.7663 11.5764
angles (deg): 74.93 90.00 90.00
Closest atoms and distances in Å follow each position.
Atoms (fractional coordinates):
O (0.2127, 0.7053, 0.9269)  1 C 1.29
O (0.7906, 0.4831, 0.6995)  1 C 1.30
O (0.4134, 0.9833, 0.0888)  1 C 1.29
O (0.8778, 0.5142, 0.2179)  1 C 1.30
O (0.8776, 0.0140, 0.7180)  1 C 1.30
O (0.6333, 0.7279, 0.8441)  1 C 1.31
O (0.7904, 0.9833, 0.1995)  1 C 1.30
O (0.5662, 0.0771, 0.5232)  1 C 1.30
O (0.2906, 0.5169, 0.3006)  1 C 1.30
O (0.1333, 0.2721, 0.1559)  1 C 1.31
O (0.4134, 0.4832, 0.5889)  1 C 1.29
O (0.6332, 0.2281, 0.3440)  1 C 1.31
O (0.9134, 0.5168, 0.4111)  1 C 1.29
O (0.5662, 0.5771, 0.0233)  1 C 1.30
O (0.2127, 0.2053, 0.4270)  1 C 1.29
O (0.7127, 0.7947, 0.5730)  1 C 1.29
O (0.0662, 0.4229, 0.9767)  1 C 1.30
O (0.1332, 0.7719, 0.6560)  1 C 1.31
O (0.2904, 0.0167, 0.8005)  1 C 1.30
O (0.3778, 0.4858, 0.7821)  1 C 1.30
O (0.3776, 0.9860, 0.2820)  1 C 1.30
O (0.7127, 0.2947, 0.0731)  1 C 1.29
O (0.9134, 0.0167, 0.9112)  1 C 1.29
O (0.0662, 0.9229, 0.4768)  1 C 1.30
C (0.5258, 0.4850, 0.6890)  3 O 1.29-1.30
C (0.9683, 0.3289, 0.0679)  3 O 1.29-1.31
C (0.4683, 0.6711, 0.9321)  3 O 1.29-1.31
C (0.4683, 0.1711, 0.4321)  3 O 1.29-1.31
C (0.0257, 0.0148, 0.8110)  3 O 1.29-1.30
C (0.9683, 0.8289, 0.5679)  3 O 1.29-1.31
C (0.0258, 0.5150, 0.3110)  3 O 1.29-1.30
C (0.5257, 0.9852, 0.1890)  3 O 1.29-1.30
Li (0.5314, 0.0136, 0.9294)  3 O 1.88-1.90
Li (0.0315, 0.4864, 0.5706)  3 O 1.88-1.90
Li (0.5315, 0.5137, 0.4294)  3 O 1.88-1.90
Li (0.4643, 0.3982, 0.9468)  3 O 1.92-2.01
Li (0.0314, 0.9864, 0.0706)  3 O 1.88-1.90
Li (0.9643, 0.1017, 0.5532)  3 O 1.92-2.01
Li (0.4643, 0.8983, 0.4468)  3 O 1.92-2.01
Li (0.9643, 0.6018, 0.0532)  3 O 1.92-2.01
V (0.5059, 0.4023, 0.1937)  6 O 2.15-2.33
V (0.0057, 0.0980, 0.3062)  6 O 2.15-2.33
V (0.5057, 0.9020, 0.6938)  6 O 2.15-2.33
V (0.0060, 0.5977, 0.8063)  6 O 2.15-2.33

Computed properties:
Magnetization = 0.0000 μB per atom
Energy of formation = -2.092 eV/atom